[1]
Below is a relaxed structure of Ta3SbP6O24, with properties calculated at the r²SCAN level.

Lattice parameters (Å, degrees): 8.7167 8.7167 22.2843 90.00 90.00 120.00
Space group R3 (No. 146, hexagonal axes)
Unique sites:
Ta  0.0000  0.0000  0.0000 x3
Ta  0.0000  0.0000  0.2182 x3
Ta  0.0000  0.0000  0.7193 x3
Sb  0.0000  0.0000  0.4975 x3
P  0.9998  0.7150  0.6101 x9
P  0.0752  0.3862  0.7767 x9
O  0.0171  0.1881  0.7710 x9
O  0.0180  0.8166  0.9546 x9
O  0.0624  0.8489  0.2659 x9
O  0.0638  0.8396  0.5579 x9
O  0.1573  0.6853  0.3336 x9
O  0.1620  0.4098  0.1136 x9
O  0.1839  0.4710  0.7200 x9
O  0.1982  0.4592  0.8318 x9

DFT total energy ... -0.4934 Ha/atom

***

[2]
Below is a relaxed structure of SiP2O7, with properties calculated at the r²SCAN level.

Lattice parameters (Å, degrees): 4.7415 6.3250 14.7469 90.00 90.10 90.00
Space group P2_1/c (No. 14)
Unique sites:
Si  0.2499  0.0832  0.1353 x4
P  0.2543  0.1910  0.9273 x4
P  0.2616  0.6050  0.8316 x4
O  0.0475  0.7429  0.3681 x4
O  0.0495  0.6335  0.5919 x4
O  0.1646  0.0076  0.2472 x4
O  0.2879  0.0643  0.4103 x4
O  0.3369  0.1676  0.0251 x4
O  0.4519  0.2045  0.6792 x4
O  0.4554  0.0817  0.8635 x4

Offset from the most stable computed form ... 1 meV/atom

***

[3]
Below is a relaxed structure of SiP2O7, with properties calculated at the r²SCAN level.

Lattice parameters (Å, degrees): 4.7133 4.7133 11.9971 90.00 90.00 120.00
Space group P6_3/m (No. 176)
Unique sites:
Si  0.0000  0.0000  0.0000 x2
P  0.3333  0.6667  0.1202 x4
O  0.0651  0.7347  0.0861 x12
O  0.3333  0.6667  0.2500 x2

Offset from the most stable computed form ... 5 meV/atom

***

[4]
Below is a relaxed structure of SiP2O7, with properties calculated at the r²SCAN level.

Lattice parameters (Å, degrees): 4.7219 12.0229 8.9001 90.00 120.87 90.00
Space group P2_1/c (No. 14)
Unique sites:
Si  0.1248  0.1492  0.3464 x4
P  0.2746  0.6978  0.5525 x4
P  0.3980  0.0183  0.6967 x4
O  0.0075  0.1879  0.1326 x4
O  0.1586  0.5362  0.2392 x4
O  0.1801  0.7358  0.1635 x4
O  0.2377  0.1099  0.5626 x4
O  0.3348  0.5741  0.6261 x4
O  0.4069  0.2377  0.9305 x4
O  0.4322  0.0642  0.3563 x4

Offset from the most stable computed form ... 0 meV/atom

***

| no. | size of the total moment (μB per formula unit) | volume (Å³/cell) |
| --- | --- | --- |
| 1 | 0.00 | 1466 |
| 2 | 0.00 | 442 |
| 3 | 0.00 | 231 |
| 4 | 0.00 | 434 |